# 1
VASP calculation (PBE) on a relaxed CsLi3Br4 crystal.

Computed properties:
The value obtained for the energy of formation from the pure elements is -1.840 eV per atom. Its largest piezoelectric modulus is 0.4 C/m². As for the crystal system: orthorhombic. The space group is No. 26. The value obtained for the energy is -3.219 eV per atom.

Unit cell a=5.0633 b=11.0134 c=8.8254 alpha=90.00 beta=90.00 gamma=90.00
Sites, in units of the cell vectors:
Cs 0.0000 0.0511 0.0000
Cs 0.0000 0.9489 0.5000
Li 0.0000 0.4534 0.1588
Li 0.0000 0.5466 0.6588
Li 0.5000 0.2855 0.4697
Li 0.5000 0.3534 0.8303
Li 0.5000 0.6466 0.3303
Li 0.5000 0.7145 0.9697
Br 0.0000 0.2621 0.3404
Br 0.0000 0.3586 0.8771
Br 0.0000 0.6414 0.3771
Br 0.0000 0.7379 0.8404
Br 0.5000 0.1294 0.6928
Br 0.5000 0.4924 0.6018
Br 0.5000 0.5076 0.1018
Br 0.5000 0.8706 0.1928


# 2
VASP calculation (PBE) on a relaxed CsLiBr2 crystal.

Computed properties:
The value obtained for the energy of formation from the pure elements is -1.940 eV per atom. As for the crystal system: tetragonal. The space group is No. 129. The value obtained for the energy is -3.192 eV per atom.

Unit cell a=5.2299 b=5.2299 c=10.1341 alpha=90.00 beta=90.00 gamma=90.00
Sites, in units of the cell vectors:
Cs 0.2500 0.2500 0.1972
Cs 0.7500 0.7500 0.8028
Li 0.2500 0.2500 0.5838
Li 0.7500 0.7500 0.4162
Br 0.2500 0.2500 0.8333
Br 0.2500 0.7500 0.5000
Br 0.7500 0.2500 0.5000
Br 0.7500 0.7500 0.1667


Copy entry 1 word for word.
VASP calculation (PBE) on a relaxed CsLi3Br4 crystal.

Computed properties:
The value obtained for the energy of formation from the pure elements is -1.840 eV per atom. Its largest piezoelectric modulus is 0.4 C/m². As for the crystal system: orthorhombic. The space group is No. 26. The value obtained for the energy is -3.219 eV per atom.

Unit cell a=5.0633 b=11.0134 c=8.8254 alpha=90.00 beta=90.00 gamma=90.00
Sites, in units of the cell vectors:
Cs 0.0000 0.0511 0.0000
Cs 0.0000 0.9489 0.5000
Li 0.0000 0.4534 0.1588
Li 0.0000 0.5466 0.6588
Li 0.5000 0.2855 0.4697
Li 0.5000 0.3534 0.8303
Li 0.5000 0.6466 0.3303
Li 0.5000 0.7145 0.9697
Br 0.0000 0.2621 0.3404
Br 0.0000 0.3586 0.8771
Br 0.0000 0.6414 0.3771
Br 0.0000 0.7379 0.8404
Br 0.5000 0.1294 0.6928
Br 0.5000 0.4924 0.6018
Br 0.5000 0.5076 0.1018
Br 0.5000 0.8706 0.1928